--- a ---
Here is an optimized crystal structure of Mg6FeNiO8 from the Materials Project. Energies are from GGA+U.

Values from the calculation:
Symmetry: P4/mmm, No. 123
Magnetization: 0.38 μB per atom
Volume: 155 Å³/f.u.

Cell: 4.2524 4.2524 8.5902 Å, 90.00 90.00 90.00°
Last column: nearest neighbours and their distance in Å.
Sites, in units of the cell vectors:
Mg 0.0000 0.0000 0.0000  6 O 2.13-2.16
Mg 0.0000 0.0000 0.5000  6 O 2.13
Mg 0.0000 0.5000 0.2477  6 O 2.13-2.17
Mg 0.0000 0.5000 0.7523  6 O 2.13-2.17
Mg 0.5000 0.0000 0.2477  6 O 2.13-2.17
Mg 0.5000 0.0000 0.7523  6 O 2.13-2.17
Fe 0.5000 0.5000 0.5000  6 O 2.13-2.20
Ni 0.5000 0.5000 0.0000  6 O 2.09-2.13
O 0.0000 0.0000 0.2516  6 Mg 2.13-2.16
O 0.0000 0.0000 0.7484  6 Mg 2.13-2.16
O 0.0000 0.5000 0.0000  2 Ni 2.13, 4 Mg 2.13
O 0.0000 0.5000 0.5000  2 Fe 2.13, 4 Mg 2.13-2.17
O 0.5000 0.0000 0.0000  2 Ni 2.13, 4 Mg 2.13
O 0.5000 0.0000 0.5000  2 Fe 2.13, 4 Mg 2.13-2.17
O 0.5000 0.5000 0.2438  1 Ni 2.09, 4 Mg 2.13, 1 Fe 2.20
O 0.5000 0.5000 0.7562  1 Ni 2.09, 4 Mg 2.13, 1 Fe 2.20

--- b ---
Here is an optimized crystal structure of Mg6FeNiO8 from the Materials Project. Energies are from GGA+U.

Values from the calculation:
Symmetry: P4/mmm, No. 123
Magnetization: 0.38 μB per atom
Volume: 155 Å³/f.u.

Cell: 4.2572 4.2572 8.5732 Å, 90.00 90.00 90.00°
Last column: nearest neighbours and their distance in Å.
Sites, in units of the cell vectors:
Mg 0.0000 0.0000 0.0000  6 O 2.09-2.13
Mg 0.0000 0.5000 0.2502  6 O 2.13-2.15
Mg 0.0000 0.5000 0.7498  6 O 2.13-2.15
Mg 0.5000 0.0000 0.2502  6 O 2.13-2.15
Mg 0.5000 0.0000 0.7498  6 O 2.13-2.15
Mg 0.5000 0.5000 0.0000  6 O 2.13-2.15
Fe 0.0000 0.0000 0.5000  6 O 2.13-2.20
Ni 0.5000 0.5000 0.5000  6 O 2.13
O 0.0000 0.0000 0.2438  5 Mg 2.09-2.13, 1 Fe 2.20
O 0.0000 0.0000 0.7562  5 Mg 2.09-2.13, 1 Fe 2.20
O 0.0000 0.5000 0.0000  6 Mg 2.13-2.15
O 0.0000 0.5000 0.5000  2 Fe 2.13, 2 Ni 2.13, 2 Mg 2.14
O 0.5000 0.0000 0.0000  6 Mg 2.13-2.15
O 0.5000 0.0000 0.5000  2 Fe 2.13, 2 Ni 2.13, 2 Mg 2.14
O 0.5000 0.5000 0.2510  5 Mg 2.13-2.15, 1 Ni 2.13
O 0.5000 0.5000 0.7490  5 Mg 2.13-2.15, 1 Ni 2.13

a wins, 18 meV/atom ahead of the next structure.

--- a ---
Here is an optimized crystal structure of MgFe2O4 from the Materials Project. Energies are from GGA+U.

Values from the calculation:
Symmetry: C2/m, No. 12
Magnetization: 1.43 μB per atom
Volume: 84 Å³/f.u.

Cell: 7.6738 7.6738 9.1580 Å, 123.47 123.47 22.03°
Last column: nearest neighbours and their distance in Å.
Sites, in units of the cell vectors:
Mg 0.1887 0.1887 0.1690  5 O 2.04-2.08
Mg 0.8113 0.8113 0.8310  5 O 2.04-2.08
Fe 0.1026 0.1026 0.7988  5 O 1.93-2.06
Fe 0.3505 0.3505 0.5195  4 O 1.95-2.07
Fe 0.6495 0.6495 0.4805  4 O 1.95-2.07
Fe 0.8974 0.8974 0.2012  5 O 1.93-2.06
O 0.0519 0.0519 0.3453  3 Fe 1.93-1.95
O 0.2745 0.2745 0.6441  3 Fe 2.02-2.18, 2 Mg 2.08
O 0.3547 0.3547 0.2974  3 Fe 1.99-2.07, 1 Mg 2.08
O 0.3611 0.3611 0.0169  2 Mg 2.04, 2 Fe 2.06
O 0.6389 0.6389 0.9831  2 Mg 2.04, 2 Fe 2.06
O 0.6453 0.6453 0.7026  3 Fe 1.99-2.07, 1 Mg 2.08
O 0.7255 0.7255 0.3559  3 Fe 2.02-2.18, 2 Mg 2.08
O 0.9481 0.9481 0.6547  3 Fe 1.93-1.95

--- b ---
Here is an optimized crystal structure of MgFe2O4 from the Materials Project. Energies are from GGA+U.

Values from the calculation:
Symmetry: Cm, No. 8
Magnetization: 1.43 μB per atom
Volume: 71 Å³/f.u.

Cell: 5.8873 5.8873 28.8290 Å, 90.05 90.05 58.84°
Last column: nearest neighbours and their distance in Å.
Sites, in units of the cell vectors:
Mg 0.0000 0.0000 0.0000  6 O 2.04-2.09
Mg 0.0000 0.0000 0.4985  6 O 2.04-2.09
Mg 0.1622 0.1622 0.2285  4 O 1.95-2.05
Mg 0.1659 0.1659 0.4144  6 O 2.04-2.10
Mg 0.1671 0.1671 0.9169  6 O 2.04-2.11
Mg 0.3318 0.3318 0.3312  6 O 2.04-2.07
Mg 0.3332 0.3332 0.8326  6 O 2.04-2.09
Mg 0.4950 0.4950 0.0619  4 O 1.95-2.04
Mg 0.5001 0.5001 0.7491  6 O 2.04-2.09
Mg 0.6644 0.6644 0.1655  6 O 2.03-2.08
Mg 0.6666 0.6666 0.6655  6 O 2.04-2.09
Mg 0.8332 0.8332 0.5820  6 O 2.04-2.09
Fe 0.0001 0.4993 0.4984  6 O 1.93-1.96
Fe 0.1610 0.1610 0.7265  4 O 1.88-1.98
Fe 0.1664 0.6690 0.1652  6 O 1.92-1.98
Fe 0.1667 0.6666 0.6655  6 O 1.93-1.96
Fe 0.1723 0.1723 0.6045  4 O 1.88-1.98
Fe 0.1738 0.1738 0.1027  4 O 1.91-2.01
Fe 0.3326 0.8342 0.8326  6 O 1.93-1.97
Fe 0.3373 0.8280 0.3307  6 O 1.93-1.98
Fe 0.4942 0.4942 0.5596  4 O 1.88-1.98
Fe 0.4993 0.0001 0.4984  6 O 1.93-1.96
Fe 0.5001 0.5001 0.2472  6 O 1.92-1.99
Fe 0.5051 0.5051 0.4372  4 O 1.88-1.99
Fe 0.5057 0.5057 0.9380  4 O 1.88-1.99
Fe 0.5065 0.9970 0.0002  6 O 1.92-1.97
Fe 0.6666 0.1667 0.6655  6 O 1.93-1.96
Fe 0.6690 0.1664 0.1652  6 O 1.92-1.98
Fe 0.8280 0.3373 0.3307  6 O 1.93-1.98
Fe 0.8284 0.8284 0.3929  4 O 1.88-1.98
Fe 0.8278 0.8278 0.8935  4 O 1.88-1.98
Fe 0.8342 0.3326 0.8326  6 O 1.93-1.97
Fe 0.8348 0.8348 0.0826  6 O 1.90-1.99
Fe 0.8389 0.8389 0.7714  4 O 1.88-1.98
Fe 0.8401 0.8401 0.2686  4 O 1.91-2.01
Fe 0.9970 0.5065 0.0002  6 O 1.92-1.97
O 0.0038 0.5218 0.6270  2 Fe 1.88-1.93, 2 Mg 2.04
O 0.0081 0.0081 0.3678  3 Fe 1.97-1.98, 1 Mg 2.10
O 0.0093 0.0093 0.8707  3 Fe 1.97, 1 Mg 2.10
O 0.1269 0.6738 0.0408  2 Fe 1.90-1.92, 2 Mg 1.95-2.04
O 0.1448 0.6624 0.5369  2 Fe 1.88-1.93, 2 Mg 2.04
O 0.1571 0.1571 0.2964  2 Fe 1.93, 2 Mg 1.96-2.05
O 0.1588 0.1588 0.7951  3 Fe 1.96-1.98, 1 Mg 2.09
O 0.1745 0.1745 0.5359  3 Fe 1.96-1.98, 1 Mg 2.09
O 0.1761 0.1761 0.0365  3 Fe 1.91-1.97, 1 Mg 2.09
O 0.1882 0.6708 0.7941  2 Fe 1.88-1.93, 2 Mg 2.04
O 0.2004 0.6618 0.2895  3 Fe 1.91-1.96, 1 Mg 2.06
O 0.3239 0.3239 0.4605  3 Fe 1.96-1.98, 1 Mg 2.09
O 0.3256 0.3256 0.9636  3 Fe 1.96-1.99, 1 Mg 2.11
O 0.3295 0.8114 0.7040  2 Fe 1.88-1.93, 2 Mg 2.04
O 0.3356 0.7976 0.2057  2 Fe 1.92, 2 Mg 1.95-2.03
O 0.3366 0.8552 0.4596  2 Fe 1.88-1.93, 2 Mg 2.04
O 0.3404 0.8525 0.9623  2 Fe 1.88-1.93, 2 Mg 2.04-2.06
O 0.3423 0.3423 0.7032  3 Fe 1.96-1.98, 1 Mg 2.09
O 0.3500 0.3500 0.2045  3 Fe 1.97, 1 Mg 2.05
O 0.4772 0.9968 0.8715  2 Fe 1.88-1.93, 2 Mg 2.04
O 0.4813 0.9921 0.3693  2 Fe 1.88-1.93, 2 Mg 2.04-2.06
O 0.4915 0.4915 0.1301  2 Fe 1.93, 2 Mg 1.97-2.05
O 0.4919 0.4919 0.6281  3 Fe 1.96-1.98, 1 Mg 2.09
O 0.5052 0.5052 0.3682  3 Fe 1.95-1.99, 1 Mg 2.07
O 0.5080 0.5080 0.8699  3 Fe 1.96, 1 Mg 2.09
O 0.5218 0.0038 0.6270  2 Fe 1.88-1.93, 2 Mg 2.04
O 0.5309 0.9976 0.1249  3 Fe 1.91-1.96, 1 Mg 2.06
O 0.6530 0.6530 0.2896  4 Fe 1.98-2.01
O 0.6577 0.6577 0.7950  3 Fe 1.97-1.98, 1 Mg 2.09
O 0.6624 0.1448 0.5369  2 Fe 1.88-1.93, 2 Mg 2.04
O 0.6618 0.2004 0.2895  3 Fe 1.91-1.96, 1 Mg 2.06
O 0.6708 0.1882 0.7941  2 Fe 1.88-1.93, 2 Mg 2.04
O 0.6738 0.1269 0.0408  2 Fe 1.90-1.92, 2 Mg 1.95-2.04
O 0.6754 0.6754 0.5361  3 Fe 1.96-1.98, 1 Mg 2.09
O 0.6843 0.6843 0.0406  3 Fe 1.96, 1 Mg 2.04
O 0.7976 0.3356 0.2057  2 Fe 1.92, 2 Mg 1.95-2.03
O 0.8114 0.3295 0.7040  2 Fe 1.88-1.93, 2 Mg 2.04
O 0.8254 0.8254 0.4611  3 Fe 1.96-1.97, 1 Mg 2.09
O 0.8272 0.8272 0.9621  3 Fe 1.95-1.98, 1 Mg 2.08
O 0.8397 0.8397 0.2020  3 Fe 1.92-1.96, 1 Mg 2.08
O 0.8413 0.8413 0.7029  3 Fe 1.96-1.98, 1 Mg 2.09
O 0.8525 0.3404 0.9623  2 Fe 1.88-1.93, 2 Mg 2.04-2.06
O 0.8552 0.3366 0.4596  2 Fe 1.88-1.93, 2 Mg 2.04
O 0.9881 0.9881 0.1251  4 Fe 1.98-2.01
O 0.9909 0.9909 0.6278  3 Fe 1.96-1.98, 1 Mg 2.09
O 0.9921 0.4813 0.3693  2 Fe 1.88-1.93, 2 Mg 2.04-2.06
O 0.9968 0.4772 0.8715  2 Fe 1.88-1.93, 2 Mg 2.04
O 0.9976 0.5309 0.1249  3 Fe 1.91-1.96, 1 Mg 2.06

b wins, 14 meV/atom ahead of the next structure.

--- a ---
Here is an optimized crystal structure of Mg2Fe2O5 from the Materials Project. Energies are from GGA+U.

Values from the calculation:
Symmetry: Pbam, No. 55
Magnetization: 1.11 μB per atom
Volume: 105 Å³/f.u.

Cell: 5.6098 10.6017 3.5355 Å, 90.00 90.00 90.00°
Last column: nearest neighbours and their distance in Å.
Sites, in units of the cell vectors:
Mg 0.2087 0.0976 0.0000  4 O 2.01-2.10
Mg 0.2913 0.5976 0.0000  4 O 2.01-2.10
Mg 0.7087 0.4024 0.0000  4 O 2.01-2.10
Mg 0.7913 0.9024 0.0000  4 O 2.01-2.10
Fe 0.2396 0.3602 0.5000  4 O 1.88-2.00
Fe 0.2604 0.8602 0.5000  4 O 1.88-2.00
Fe 0.7396 0.1398 0.5000  4 O 1.88-2.00
Fe 0.7604 0.6398 0.5000  4 O 1.88-2.00
O 0.0000 0.5000 0.5000  2 Fe 2.00
O 0.1396 0.1905 0.5000  1 Fe 1.88, 2 Mg 2.06
O 0.1658 0.9096 0.0000  2 Fe 1.92, 2 Mg 2.01-2.10
O 0.3342 0.4096 0.0000  2 Fe 1.92, 2 Mg 2.01-2.10
O 0.3604 0.6905 0.5000  1 Fe 1.88, 2 Mg 2.06
O 0.5000 0.0000 0.5000  2 Fe 2.00
O 0.6396 0.3095 0.5000  1 Fe 1.88, 2 Mg 2.06
O 0.6658 0.5904 0.0000  2 Fe 1.92, 2 Mg 2.01-2.10
O 0.8342 0.0904 0.0000  2 Fe 1.92, 2 Mg 2.01-2.10
O 0.8604 0.8095 0.5000  1 Fe 1.88, 2 Mg 2.06

--- b ---
Here is an optimized crystal structure of Mg2Fe2O5 from the Materials Project. Energies are from GGA+U.

Values from the calculation:
Symmetry: P1, No. 1
Magnetization: 1.11 μB per atom
Volume: 99 Å³/f.u.

Cell: 5.9927 6.1479 24.7428 Å, 96.15 90.19 118.92°
Last column: nearest neighbours and their distance in Å.
Sites, in units of the cell vectors:
Mg 0.0000 0.0000 0.0000  6 O 2.06-2.13
Mg 0.9998 0.4974 0.0003  6 O 2.07-2.14
Mg 0.0006 0.5050 0.5025  4 O 1.93-2.13
Mg 0.0996 0.6938 0.2995  6 O 2.05-2.17
Mg 0.2050 0.9124 0.6024  6 O 2.03-2.25
Mg 0.2071 0.4208 0.6079  5 O 2.01-2.25
Mg 0.3940 0.2835 0.1995  5 O 2.01-2.24
Mg 0.3939 0.7790 0.1941  4 O 2.00-2.04
Mg 0.3966 0.2990 0.7035  6 O 2.07-2.22
Mg 0.5032 0.5082 0.5016  6 O 2.07-2.16
Mg 0.5988 0.6989 0.8008  6 O 2.09-2.14
Mg 0.5995 0.2020 0.8013  6 O 2.09-2.12
Mg 0.6010 0.6936 0.2987  4 O 1.94-2.13
Mg 0.8000 0.0991 0.4011  6 O 2.16-2.19
Mg 0.8011 0.6008 0.4007  5 O 1.96-2.20
Mg 0.8606 0.2401 0.1218  4 O 1.95-2.07
Fe 0.0694 0.6567 0.7306  4 O 1.87-2.02
Fe 0.1020 0.2026 0.8012  6 O 2.04-2.09
Fe 0.1350 0.7518 0.8772  4 O 1.91-2.02
Fe 0.2081 0.9045 0.1005  6 O 2.01-2.13
Fe 0.2995 0.0737 0.4707  4 O 1.84-2.05
Fe 0.3003 0.1256 0.3322  4 O 1.85-2.04
Fe 0.3017 0.6012 0.4009  6 O 1.95-2.13
Fe 0.4682 0.4498 0.9241  4 O 1.91-2.00
Fe 0.5082 0.0026 0.0000  6 O 1.96-2.13
Fe 0.5305 0.5445 0.0735  4 O 1.90-1.98
Fe 0.7082 0.9355 0.5405  3 O 1.83-1.96
Fe 0.7170 0.4254 0.6100  4 O 1.94-2.06
Fe 0.7398 0.9585 0.6781  4 O 1.88-2.01
Fe 0.8028 0.1011 0.9005  6 O 2.06-2.09
Fe 0.8874 0.7769 0.1918  4 O 1.92-2.06
Fe 0.8917 0.2639 0.2639  3 O 1.82-1.96
O 0.0486 0.0756 0.1550  2 Fe 1.95-2.12, 2 Mg 2.06
O 0.0524 0.6167 0.6485  2 Fe 1.95-2.02, 2 Mg 2.04-2.07
O 0.0544 0.6168 0.1521  2 Fe 1.92-2.13, 2 Mg 2.00-2.07
O 0.0647 0.1114 0.6471  1 Fe 1.91, 2 Mg 2.03
O 0.1196 0.7361 0.4462  2 Fe 1.84-1.95, 2 Mg 1.96-1.98
O 0.1326 0.2907 0.9504  2 Fe 1.91-2.06, 2 Mg 2.10-2.11
O 0.1608 0.8061 0.9551  2 Fe 1.91-2.07, 2 Mg 2.10-2.11
O 0.1628 0.3033 0.4497  2 Fe 2.05-2.12, 3 Mg 2.13-2.24
O 0.2431 0.4933 0.2531  1 Fe 1.93, 2 Mg 2.07-2.13
O 0.2441 0.9956 0.2566  1 Fe 1.92, 1 Mg 2.05
O 0.2489 0.4880 0.7527  2 Fe 1.93-2.06, 2 Mg 2.08-2.13
O 0.2520 0.0170 0.7531  2 Fe 1.95-2.06, 2 Mg 2.07-2.11
O 0.3426 0.1794 0.0506  3 Fe 1.98-2.12, 1 Mg 2.12
O 0.3465 0.7122 0.0508  3 Fe 1.95-2.13, 1 Mg 2.14
O 0.3560 0.7049 0.5485  1 Fe 1.92, 2 Mg 2.08-2.12
O 0.3586 0.2076 0.5466  1 Fe 1.93, 1 Mg 2.08
O 0.4382 0.8966 0.3521  2 Fe 2.04-2.11, 3 Mg 2.13-2.26
O 0.4414 0.3949 0.8465  2 Fe 1.91-2.04, 2 Mg 2.09-2.10
O 0.4724 0.9113 0.8511  2 Fe 1.92-2.06, 2 Mg 2.11
O 0.4812 0.4646 0.3555  2 Fe 1.85-1.95, 2 Mg 1.96-1.98
O 0.5163 0.0768 0.1533  3 Mg 2.00-2.01, 1 Fe 2.01
O 0.5465 0.5807 0.1534  2 Fe 1.96-1.97, 2 Mg 2.04-2.08
O 0.5504 0.5923 0.6490  2 Fe 1.94-2.01, 1 Mg 2.01
O 0.5549 0.1148 0.6456  2 Fe 1.98-2.00, 2 Mg 2.06-2.22
O 0.6411 0.7992 0.4525  3 Mg 2.10-2.20, 2 Fe 2.12-2.21
O 0.6460 0.3013 0.4506  1 Fe 1.97, 4 Mg 2.15-2.19
O 0.6537 0.2877 0.9505  3 Fe 1.96-2.08, 1 Mg 2.13
O 0.6559 0.8162 0.9506  3 Fe 2.00-2.09, 1 Mg 2.11
O 0.7167 0.9257 0.2446  1 Fe 1.82, 1 Mg 1.94
O 0.7331 0.4927 0.7519  1 Fe 1.87, 2 Mg 2.07-2.09
O 0.7572 0.0070 0.7547  2 Fe 1.88-2.08
O 0.7589 0.4922 0.2532  1 Fe 1.96, 2 Mg 2.06-2.13
O 0.8360 0.1881 0.0425  3 Mg 1.95-2.07, 1 Fe 1.96
O 0.8430 0.7060 0.5486  1 Fe 1.96, 2 Mg 2.07-2.13
O 0.8716 0.7106 0.0515  2 Fe 1.90-2.08, 1 Mg 2.13
O 0.8856 0.2767 0.5569  1 Fe 1.83, 2 Mg 1.93-2.05
O 0.9455 0.3818 0.8507  3 Fe 2.02-2.08, 1 Mg 2.12
O 0.9473 0.9144 0.8505  3 Fe 1.98-2.09, 1 Mg 2.14
O 0.9543 0.8987 0.3511  1 Fe 1.95, 3 Mg 2.14-2.17
O 0.9597 0.4008 0.3495  3 Mg 2.12-2.20, 2 Fe 2.13-2.15

--- c ---
Here is an optimized crystal structure of Mg2Fe2O5 from the Materials Project. Energies are from GGA+U.

Values from the calculation:
Symmetry: Ima2, No. 46
Magnetization: 1.11 μB per atom
Volume: 99 Å³/f.u.

Cell: 7.8575 7.8575 7.8575 Å, 57.78 140.42 139.67°
Last column: nearest neighbours and their distance in Å.
Sites, in units of the cell vectors:
Mg 0.0108 0.1177 0.1285  4 O 2.02-2.17
Mg 0.0108 0.3823 0.3931  4 O 2.02-2.17
Mg 0.9892 0.6177 0.6069  4 O 2.02-2.17
Mg 0.9892 0.8823 0.8715  4 O 2.02-2.17
Fe 0.4515 0.7348 0.2167  4 O 1.89-2.00
Fe 0.5180 0.2348 0.7833  4 O 1.89-2.00
Fe 0.5546 0.0546 0.5000  6 O 1.94-2.13
Fe 0.5546 0.5546 0.0000  6 O 1.94-2.13
O 0.0677 0.3536 0.7986  2 Fe 1.94-2.03, 1 Mg 2.04
O 0.0677 0.7691 0.2141  2 Fe 1.94-2.03, 1 Mg 2.04
O 0.2538 0.8764 0.8774  2 Fe 1.96-2.00, 2 Mg 2.08
O 0.4876 0.2678 0.5054  1 Fe 1.89, 1 Mg 2.02
O 0.4876 0.4821 0.7198  1 Fe 1.89, 1 Mg 2.02
O 0.5550 0.2691 0.2014  2 Fe 1.94-2.03, 1 Mg 2.04
O 0.5550 0.8536 0.7859  2 Fe 1.94-2.03, 1 Mg 2.04
O 0.7624 0.7678 0.2802  1 Fe 1.89, 1 Mg 2.02
O 0.7624 0.9821 0.4946  1 Fe 1.89, 1 Mg 2.02
O 0.9991 0.3764 0.1226  2 Fe 1.96-2.00, 2 Mg 2.08

b wins, 43 meV/atom ahead of the next structure.

--- a ---
Here is an optimized crystal structure of Sr2MgFeOsO6 from the Materials Project. Energies are from GGA+U.

Values from the calculation:
Symmetry: R3m, No. 160
Magnetization: 0.55 μB per atom
Volume: 162 Å³/f.u.

Cell: 6.3125 6.3125 6.3125 Å, 56.08 56.08 56.08°
Last column: nearest neighbours and their distance in Å.
Sites, in units of the cell vectors:
Sr 0.0000 0.0000 0.0000  3 O 2.52
Sr 0.4123 0.4123 0.4123  3 O 2.51
Mg 0.7805 0.7805 0.7805  3 O 1.88
Fe 0.6091 0.6091 0.6091  3 O 1.88
Os 0.2048 0.2048 0.2048  6 O 2.01-2.05
O 0.4279 0.9735 0.9735  1 Mg 1.88, 1 Os 2.01
O 0.4403 0.4403 0.9849  1 Fe 1.88, 1 Os 2.05
O 0.4403 0.9849 0.4403  1 Fe 1.88, 1 Os 2.05
O 0.9735 0.4279 0.9735  1 Mg 1.88, 1 Os 2.01
O 0.9735 0.9735 0.4279  1 Mg 1.88, 1 Os 2.01
O 0.9849 0.4403 0.4403  1 Fe 1.88, 1 Os 2.05

--- b ---
Here is an optimized crystal structure of Sr2MgFeOsO6 from the Materials Project. Energies are from GGA+U.

Values from the calculation:
Symmetry: C2/m, No. 12
Magnetization: 0.55 μB per atom
Volume: 158 Å³/f.u.

Cell: 6.2887 6.2887 5.6748 Å, 116.53 116.53 100.54°
Last column: nearest neighbours and their distance in Å.
Sites, in units of the cell vectors:
Sr 0.1753 0.8247 0.0000  6 O 2.64-2.86
Sr 0.8247 0.1753 0.0000  6 O 2.64-2.86
Mg 0.5000 0.5000 0.0000  4 O 1.99
Fe 0.5000 0.5000 0.5000  4 O 1.98-2.02
Os 0.0000 0.0000 0.5000  6 O 2.02-2.04
O 0.2087 0.7913 0.5000  1 Os 2.02
O 0.2535 0.2535 0.0026  1 Mg 1.99, 1 Fe 2.02, 1 Os 2.04
O 0.2591 0.2591 0.5100  1 Fe 1.98, 1 Mg 1.99, 1 Os 2.04
O 0.7409 0.7409 0.4900  1 Fe 1.98, 1 Mg 1.99, 1 Os 2.04
O 0.7465 0.7465 0.9974  1 Mg 1.99, 1 Fe 2.02, 1 Os 2.04
O 0.7913 0.2087 0.5000  1 Os 2.02

a wins, 34 meV/atom ahead of the next structure.